1.
# EuZn2Ge2, optimized geometry, DFT meta-GGA r2SCAN
data_EuZn2Ge2
_cell_length_a 4.317
_cell_length_b 4.317
_cell_length_c 10.510
_cell_angle_alpha 90.00
_cell_angle_beta 90.00
_cell_angle_gamma 90.00
_symmetry_space_group_name_H-M 'P 4/n m m'
_symmetry_Int_Tables_number 129
loop_
_symmetry_equiv_pos_as_xyz
'x,y,z'
'-x,-y,-z'
'-y+1/2,x,z'
'y+1/2,-x,-z'
'-x+1/2,-y+1/2,z'
'x+1/2,y+1/2,-z'
'y,-x+1/2,z'
'-y,x+1/2,-z'
'x+1/2,-y,-z'
'-x+1/2,y,z'
'-y,-x,-z'
'y,x,z'
'-x,y+1/2,-z'
'x,-y+1/2,z'
'y+1/2,x+1/2,-z'
'-y+1/2,-x+1/2,z'
loop_
_atom_site_label
_atom_site_type_symbol
_atom_site_fract_x
_atom_site_fract_y
_atom_site_fract_z
_atom_site_occupancy
Eu1 Eu 0.250 0.250 0.250 1
Zn1 Zn 0.250 0.250 0.633 1
Zn2 Zn 0.250 0.750 0.000 1
Ge1 Ge 0.250 0.250 0.865 1
Ge2 Ge 0.250 0.750 0.500 1
# Total energy (eV/cell): -172.7
# E_form (eV per atom): -0.4502

=====

2.
# Cs2NaYbCl6, optimized geometry, DFT meta-GGA r2SCAN
data_Cs2NaYbCl6
_cell_length_a 10.638
_cell_length_b 10.638
_cell_length_c 10.638
_cell_angle_alpha 90.00
_cell_angle_beta 90.00
_cell_angle_gamma 90.00
_symmetry_space_group_name_H-M 'F m -3 m'
_symmetry_Int_Tables_number 225
_symmetry_space_group_name_Hall '-F 4 2 3'
loop_
_atom_site_label
_atom_site_type_symbol
_atom_site_fract_x
_atom_site_fract_y
_atom_site_fract_z
_atom_site_occupancy
Cs1 Cs 0.250 0.250 0.250 1
Na1 Na 0.000 0.000 0.000 1
Yb1 Yb 0.000 0.000 0.500 1
Cl1 Cl 0.000 0.000 0.258 1
# Total energy (eV/cell): -604.9
# E_form (eV per atom): -2.4006

=====

3.
# Te8Ir3, optimized geometry, DFT meta-GGA r2SCAN
data_Te8Ir3
_cell_length_a 9.126
_cell_length_b 9.175
_cell_length_c 11.284
_cell_angle_alpha 89.48
_cell_angle_beta 89.99
_cell_angle_gamma 60.23
_symmetry_space_group_name_H-M 'P -1'
_symmetry_Int_Tables_number 2
loop_
_symmetry_equiv_pos_as_xyz
'x,y,z'
'-x,-y,-z'
loop_
_atom_site_label
_atom_site_type_symbol
_atom_site_fract_x
_atom_site_fract_y
_atom_site_fract_z
_atom_site_occupancy
Te1 Te 0.002 0.000 0.127 1
Te2 Te 0.014 0.245 0.374 1
Te3 Te 0.088 0.347 0.705 1
Te4 Te 0.088 0.583 0.957 1
Te5 Te 0.239 0.744 0.379 1
Te6 Te 0.247 0.009 0.626 1
Te7 Te 0.327 0.088 0.955 1
Te8 Te 0.329 0.331 0.461 1
Te9 Te 0.333 0.332 0.206 1
Te10 Te 0.337 0.585 0.709 1
Te11 Te 0.411 0.671 0.039 1
Te12 Te 0.414 0.914 0.292 1
Ir1 Ir 0.000 0.000 0.500 1
Ir2 Ir 0.168 0.165 0.166 1
Ir3 Ir 0.337 0.334 0.834 1
Ir4 Ir 0.337 0.833 0.833 1
Ir5 Ir 0.500 0.000 0.500 1
Ir6 Ir 0.500 0.500 0.500 1
# Total energy (eV/cell): -1090.7
# E_form (eV per atom): -0.2859

=====

4.
# Hf5CoAs3, optimized geometry, DFT meta-GGA r2SCAN
data_Hf5CoAs3
_cell_length_a 17.312
_cell_length_b 3.655
_cell_length_c 10.403
_cell_angle_alpha 90.00
_cell_angle_beta 90.00
_cell_angle_gamma 90.00
_symmetry_space_group_name_H-M 'P n m a'
_symmetry_Int_Tables_number 62
loop_
_symmetry_equiv_pos_as_xyz
'x,y,z'
'-x,-y,-z'
'-x+1/2,-y,z+1/2'
'x+1/2,y,-z+1/2'
'x+1/2,-y+1/2,-z+1/2'
'-x+1/2,y+1/2,z+1/2'
'-x,y+1/2,-z'
'x,-y+1/2,z'
loop_
_atom_site_label
_atom_site_type_symbol
_atom_site_fract_x
_atom_site_fract_y
_atom_site_fract_z
_atom_site_occupancy
Hf1 Hf 0.022 0.250 0.120 1
Hf2 Hf 0.076 0.750 0.556 1
Hf3 Hf 0.131 0.250 0.816 1
Hf4 Hf 0.168 0.750 0.259 1
Hf5 Hf 0.223 0.250 0.485 1
Co1 Co 0.092 0.250 0.367 1
As1 As 0.008 0.750 0.311 1
As2 As 0.120 0.750 0.010 1
As3 As 0.218 0.750 0.686 1
# Total energy (eV/cell): -1166.5
# E_form (eV per atom): -0.9470

=====

5.
# Li4NCl, optimized geometry, DFT meta-GGA r2SCAN
data_Li4NCl
_cell_length_a 3.6213
_cell_length_b 3.6213
_cell_length_c 19.5769
_cell_angle_alpha 90.00
_cell_angle_beta 90.00
_cell_angle_gamma 120.00
_symmetry_space_group_name_H-M 'R -3 m'
_symmetry_Int_Tables_number 166
_symmetry_space_group_name_Hall '-R 3 2"'
loop_
_atom_site_label
_atom_site_type_symbol
_atom_site_fract_x
_atom_site_fract_y
_atom_site_fract_z
_atom_site_occupancy
Li1 Li 0.0000 0.0000 0.0975 1
Li2 Li 0.0000 0.0000 0.3445 1
N1 N 0.0000 0.0000 0.0000 1
Cl1 Cl 0.0000 0.0000 0.5000 1
# Total energy (eV/cell): -92.8
# E_form (eV per atom): -1.0181

=====

6.
# Ta, optimized geometry, DFT meta-GGA r2SCAN
data_Ta
_cell_length_a 10.224
_cell_length_b 10.224
_cell_length_c 5.303
_cell_angle_alpha 90.00
_cell_angle_beta 90.00
_cell_angle_gamma 90.00
_symmetry_space_group_name_H-M 'P 42/m n m'
_symmetry_Int_Tables_number 136
_symmetry_space_group_name_Hall '-P 4n 2n'
loop_
_atom_site_label
_atom_site_type_symbol
_atom_site_fract_x
_atom_site_fract_y
_atom_site_fract_z
_atom_site_occupancy
Ta1 Ta 0.000 0.000 0.000 1
Ta2 Ta 0.035 0.372 0.500 1
Ta3 Ta 0.068 0.261 0.000 1
Ta4 Ta 0.105 0.105 0.500 1
Ta5 Ta 0.181 0.819 0.251 1
# Total energy (eV/cell): -1457.8
# E_form (eV per atom): 0.0000

=====

7.
# K6Co2O5, optimized geometry, DFT meta-GGA r2SCAN
data_K6Co2O5
_cell_length_a 9.210
_cell_length_b 9.286
_cell_length_c 11.873
_cell_angle_alpha 90.00
_cell_angle_beta 90.36
_cell_angle_gamma 90.00
_symmetry_space_group_name_H-M 'C 1 m 1'
_symmetry_Int_Tables_number 8
loop_
_symmetry_equiv_pos_as_xyz
'x,y,z'
'x,-y,z'
'x+1/2,y+1/2,z'
'x+1/2,-y+1/2,z'
loop_
_atom_site_label
_atom_site_type_symbol
_atom_site_fract_x
_atom_site_fract_y
_atom_site_fract_z
_atom_site_occupancy
K1 K 0.000 0.000 0.000 1
K2 K 0.000 0.500 0.498 1
K3 K 0.002 0.500 0.935 1
K4 K 0.004 0.000 0.435 1
K5 K 0.005 0.184 0.715 1
K6 K 0.186 0.500 0.218 1
K7 K 0.252 0.249 0.968 1
K8 K 0.252 0.250 0.468 1
K9 K 0.318 0.000 0.218 1
Co1 Co 0.002 0.209 0.217 1
Co2 Co 0.212 0.500 0.717 1
Co3 Co 0.296 0.000 0.722 1
O1 O 0.001 0.000 0.218 1
O2 O 0.001 0.289 0.355 1
O3 O 0.002 0.500 0.714 1
O4 O 0.003 0.289 0.079 1
O5 O 0.212 0.000 0.857 1
O6 O 0.216 0.000 0.580 1
O7 O 0.284 0.500 0.857 1
O8 O 0.290 0.500 0.579 1
# Total energy (eV/cell): -438.3
# E_form (eV per atom): -1.3179

=====

8.
# Hg3Se3O10, optimized geometry, DFT meta-GGA r2SCAN
data_Hg3Se3O10
_cell_length_a 8.418
_cell_length_b 5.361
_cell_length_c 11.251
_cell_angle_alpha 90.00
_cell_angle_beta 108.43
_cell_angle_gamma 90.00
_symmetry_space_group_name_H-M 'P 1 21 1'
_symmetry_Int_Tables_number 4
loop_
_symmetry_equiv_pos_as_xyz
'x,y,z'
'-x,y+1/2,-z'
loop_
_atom_site_label
_atom_site_type_symbol
_atom_site_fract_x
_atom_site_fract_y
_atom_site_fract_z
_atom_site_occupancy
Hg1 Hg 0.004 0.000 0.126 1
Hg2 Hg 0.009 0.005 0.633 1
Hg3 Hg 0.375 0.515 0.703 1
Se1 Se 0.260 0.023 0.462 1
Se2 Se 0.270 0.972 0.924 1
Se3 Se 0.349 0.506 0.215 1
O1 O 0.099 0.127 0.335 1
O2 O 0.119 0.854 0.983 1
O3 O 0.158 0.196 0.819 1
O4 O 0.166 0.777 0.513 1
O5 O 0.223 0.676 0.269 1
O6 O 0.226 0.236 0.566 1
O7 O 0.247 0.736 0.818 1
O8 O 0.250 0.319 0.100 1
O9 O 0.466 0.333 0.336 1
O10 O 0.475 0.694 0.168 1
# Total energy (eV/cell): -522.4
# E_form (eV per atom): -0.6527